[1]
The following is a DFT calculation (PBE-GGA) of a relaxed structure of K2RbAuF6.

a = 6.702 Å, b = 6.702 Å, c = 6.702 Å
α = 60.00°, β = 60.00°, γ = 60.00°
Positions (direct):
K 0.750 0.750 0.750
K 0.250 0.250 0.250
Rb 0.500 0.500 0.500
Au 0.000 0.000 0.000
F 0.773 0.227 0.227
F 0.227 0.227 0.773
F 0.227 0.773 0.773
F 0.227 0.773 0.227
F 0.773 0.227 0.773
F 0.773 0.773 0.227

Values from the calculation:
M_tot: 2.016 μB/cell
space-group type: No. 225

---

[2]
The following is a DFT calculation (PBE-GGA) of a relaxed structure of K2RhAuF6.

a = 6.240 Å, b = 6.240 Å, c = 6.240 Å
α = 60.00°, β = 60.00°, γ = 60.00°
Positions (direct):
K 0.750 0.750 0.750
K 0.250 0.250 0.250
Rh 0.000 0.000 0.000
Au 0.500 0.500 0.500
F 0.769 0.231 0.231
F 0.231 0.231 0.769
F 0.231 0.769 0.769
F 0.231 0.769 0.231
F 0.769 0.231 0.769
F 0.769 0.769 0.231

Values from the calculation:
M_tot: 0.000 μB/cell
space-group type: No. 225

---

[3]
The following is a DFT calculation (PBE-GGA) of a relaxed structure of K2RuAuF6.

a = 6.284 Å, b = 6.284 Å, c = 6.284 Å
α = 60.00°, β = 60.00°, γ = 60.00°
Positions (direct):
K 0.750 0.750 0.750
K 0.250 0.250 0.250
Ru 0.000 0.000 0.000
Au 0.500 0.500 0.500
F 0.771 0.229 0.229
F 0.229 0.229 0.771
F 0.229 0.771 0.771
F 0.229 0.771 0.229
F 0.771 0.229 0.771
F 0.771 0.771 0.229

Values from the calculation:
M_tot: 1.016 μB/cell
space-group type: No. 225

---

[4]
The following is a DFT calculation (PBE-GGA) of a relaxed structure of K2ScAuF6.

a = 6.359 Å, b = 6.359 Å, c = 6.359 Å
α = 60.00°, β = 60.00°, γ = 60.00°
Positions (direct):
K 0.750 0.750 0.750
K 0.250 0.250 0.250
Sc 0.000 0.000 0.000
Au 0.500 0.500 0.500
F 0.775 0.225 0.225
F 0.225 0.225 0.775
F 0.225 0.775 0.775
F 0.225 0.775 0.225
F 0.775 0.225 0.775
F 0.775 0.775 0.225

Values from the calculation:
M_tot: 0.001 μB/cell
space-group type: No. 225

---

[5]
The following is a DFT calculation (PBE-GGA) of a relaxed structure of K2TlAuF6.

a = 6.503 Å, b = 6.503 Å, c = 6.503 Å
α = 60.00°, β = 60.00°, γ = 60.00°
Positions (direct):
K 0.750 0.750 0.750
K 0.250 0.250 0.250
Tl 0.500 0.500 0.500
Au 0.000 0.000 0.000
F 0.745 0.255 0.255
F 0.255 0.255 0.745
F 0.255 0.745 0.745
F 0.255 0.745 0.255
F 0.745 0.255 0.745
F 0.745 0.745 0.255

Values from the calculation:
M_tot: 0.002 μB/cell
space-group type: No. 225

---

[6]
The following is a DFT calculation (PBE-GGA) of a relaxed structure of K2YAuF6.

a = 6.589 Å, b = 6.589 Å, c = 6.589 Å
α = 60.00°, β = 60.00°, γ = 60.00°
Positions (direct):
K 0.750 0.750 0.750
K 0.250 0.250 0.250
Y 0.000 0.000 0.000
Au 0.500 0.500 0.500
F 0.767 0.233 0.233
F 0.233 0.233 0.767
F 0.233 0.767 0.767
F 0.233 0.767 0.233
F 0.767 0.233 0.767
F 0.767 0.767 0.233

Values from the calculation:
M_tot: 0.002 μB/cell
space-group type: No. 225

---

[7]
The following is a DFT calculation (PBE-GGA) of a relaxed structure of La2Au5F21.

a = 8.540 Å, b = 8.540 Å, c = 26.659 Å
α = 90.00°, β = 90.00°, γ = 90.00°
Positions (direct):
La 0.071 0.448 0.502
La 0.052 0.571 0.752
La 0.948 0.429 0.252
La 0.571 0.052 0.248
La 0.429 0.948 0.748
La 0.929 0.552 0.002
La 0.448 0.071 0.498
La 0.552 0.929 0.998
Au 0.204 0.821 0.889
Au 0.796 0.179 0.389
Au 0.821 0.204 0.111
Au 0.321 0.296 0.639
Au 0.679 0.704 0.139
Au 0.296 0.321 0.361
Au 0.704 0.679 0.861
Au 0.179 0.796 0.611
Au 0.565 0.565 0.500
Au 0.935 0.065 0.750
Au 0.065 0.935 0.250
Au 0.435 0.435 0.000
Au 0.645 0.596 0.656
Au 0.904 0.145 0.906
Au 0.096 0.855 0.406
Au 0.145 0.904 0.094
Au 0.855 0.096 0.594
Au 0.355 0.404 0.156
Au 0.596 0.645 0.344
Au 0.404 0.355 0.844
F 0.581 0.298 0.886
F 0.419 0.702 0.386
F 0.298 0.581 0.114
F 0.798 0.919 0.636
F 0.202 0.081 0.136
F 0.919 0.798 0.364
F 0.081 0.202 0.864
F 0.702 0.419 0.614
F 0.717 0.090 0.056
F 0.283 0.910 0.556
F 0.090 0.717 0.944
F 0.590 0.783 0.806
F 0.410 0.217 0.306
F 0.783 0.590 0.194
F 0.217 0.410 0.694
F 0.910 0.283 0.444
F 0.977 0.859 0.141
F 0.023 0.141 0.641
F 0.859 0.977 0.859
F 0.359 0.523 0.891
F 0.641 0.477 0.391
F 0.523 0.359 0.109
F 0.477 0.641 0.609
F 0.141 0.023 0.359
F 0.312 0.959 0.046
F 0.688 0.041 0.546
F 0.959 0.312 0.954
F 0.541 0.812 0.296
F 0.459 0.188 0.796
F 0.294 0.936 0.248
F 0.706 0.064 0.748
F 0.936 0.294 0.752
F 0.064 0.706 0.252
F 0.564 0.794 0.498
F 0.206 0.436 0.002
F 0.794 0.564 0.502
F 0.201 0.417 0.590
F 0.083 0.701 0.840
F 0.917 0.299 0.340
F 0.701 0.083 0.160
F 0.299 0.917 0.660
F 0.799 0.583 0.090
F 0.417 0.201 0.410
F 0.583 0.799 0.910
F 0.447 0.182 0.689
F 0.318 0.947 0.939
F 0.682 0.053 0.439
F 0.947 0.318 0.061
F 0.053 0.682 0.561
F 0.553 0.818 0.189
F 0.182 0.447 0.311
F 0.818 0.553 0.811
F 0.334 0.567 0.500
F 0.933 0.834 0.750
F 0.067 0.166 0.250
F 0.834 0.933 0.250
F 0.166 0.067 0.750
F 0.666 0.433 0.000
F 0.567 0.334 0.500
F 0.433 0.666 0.000
F 0.184 0.432 0.414
F 0.068 0.684 0.664
F 0.932 0.316 0.164
F 0.684 0.068 0.336
F 0.316 0.932 0.836
F 0.816 0.568 0.914
F 0.432 0.184 0.586
F 0.568 0.816 0.086
F 0.226 0.226 0.500
F 0.274 0.726 0.750
F 0.726 0.274 0.250
F 0.774 0.774 0.000
F 0.917 0.275 0.551
F 0.225 0.417 0.801
F 0.775 0.583 0.301
F 0.417 0.225 0.199
F 0.583 0.775 0.699
F 0.083 0.725 0.051
F 0.275 0.917 0.449
F 0.725 0.083 0.949
F 0.041 0.688 0.454
F 0.812 0.541 0.704
F 0.188 0.459 0.204
F 0.436 0.206 0.998

Values from the calculation:
M_tot: 0.023 μB/cell
space-group type: No. 92

---

[8]
The following is a DFT calculation (PBE-GGA) of a relaxed structure of LiAuF6.

a = 5.061 Å, b = 5.061 Å, c = 5.472 Å
α = 62.45°, β = 62.45°, γ = 60.00°
Positions (direct):
Li 0.500 0.500 0.500
Au 0.000 0.000 0.000
F 0.611 0.905 0.246
F 0.239 0.611 0.246
F 0.905 0.239 0.246
F 0.389 0.095 0.754
F 0.761 0.389 0.754
F 0.095 0.761 0.754

Values from the calculation:
space-group type: No. 148

---

[9]
The following is a DFT calculation (PBE-GGA) of a relaxed structure of Na2LiAuF6.

a = 5.816 Å, b = 5.816 Å, c = 5.816 Å
α = 60.00°, β = 60.00°, γ = 60.00°
Positions (direct):
Na 0.250 0.250 0.250
Na 0.750 0.750 0.750
Li 0.500 0.500 0.500
Au 0.000 0.000 0.000
F 0.258 0.258 0.742
F 0.258 0.742 0.742
F 0.742 0.742 0.258
F 0.258 0.742 0.258
F 0.742 0.258 0.742
F 0.742 0.258 0.258

Values from the calculation:
M_tot: 2.000 μB/cell
space-group type: No. 225

---

[10]
The following is a DFT calculation (PBE-GGA) of a relaxed structure of LuAu2F9.

a = 9.129 Å, b = 11.191 Å, c = 21.736 Å
α = 90.00°, β = 90.00°, γ = 90.00°
Positions (direct):
Lu 0.825 0.500 0.250
Lu 0.675 0.000 0.750
Lu 0.175 0.500 0.750
Lu 0.325 0.000 0.250
Lu 0.040 0.593 0.416
Lu 0.040 0.407 0.084
Lu 0.460 0.093 0.584
Lu 0.460 0.907 0.916
Lu 0.960 0.407 0.584
Lu 0.960 0.593 0.916
Lu 0.540 0.907 0.416
Lu 0.540 0.093 0.084
Au 0.660 0.390 0.991
Au 0.660 0.610 0.509
Au 0.840 0.890 0.009
Au 0.840 0.110 0.491
Au 0.340 0.610 0.009
Au 0.340 0.390 0.491
Au 0.160 0.110 0.991
Au 0.160 0.890 0.509
Au 0.933 0.075 0.164
Au 0.933 0.925 0.336
Au 0.567 0.575 0.836
Au 0.567 0.425 0.664
Au 0.067 0.925 0.836
Au 0.067 0.075 0.664
Au 0.433 0.425 0.164
Au 0.433 0.575 0.336
Au 0.640 0.215 0.329
Au 0.640 0.785 0.171
Au 0.860 0.715 0.671
Au 0.860 0.285 0.829
Au 0.360 0.785 0.671
Au 0.360 0.215 0.829
Au 0.140 0.285 0.329
Au 0.140 0.715 0.171
F 0.000 0.500 0.000
F 0.000 0.500 0.500
F 0.500 0.000 0.000
F 0.500 0.000 0.500
F 0.137 0.976 0.322
F 0.137 0.024 0.178
F 0.363 0.476 0.678
F 0.363 0.524 0.822
F 0.863 0.024 0.678
F 0.863 0.976 0.822
F 0.637 0.524 0.322
F 0.637 0.476 0.178
F 0.202 0.824 0.238
F 0.202 0.176 0.262
F 0.298 0.324 0.762
F 0.298 0.676 0.738
F 0.798 0.176 0.762
F 0.798 0.824 0.738
F 0.702 0.676 0.238
F 0.702 0.324 0.262
F 0.767 0.048 0.035
F 0.767 0.952 0.465
F 0.733 0.548 0.965
F 0.733 0.452 0.535
F 0.233 0.952 0.965
F 0.233 0.048 0.535
F 0.267 0.452 0.035
F 0.267 0.548 0.465
F 0.591 0.103 0.397
F 0.591 0.897 0.103
F 0.909 0.603 0.603
F 0.909 0.397 0.897
F 0.409 0.897 0.603
F 0.409 0.103 0.897
F 0.091 0.397 0.397
F 0.091 0.603 0.103
F 0.497 0.140 0.271
F 0.497 0.860 0.229
F 0.003 0.640 0.729
F 0.003 0.360 0.771
F 0.503 0.860 0.729
F 0.503 0.140 0.771
F 0.997 0.360 0.271
F 0.997 0.640 0.229
F 0.190 0.638 0.944
F 0.190 0.362 0.556
F 0.310 0.138 0.056
F 0.310 0.862 0.444
F 0.810 0.362 0.056
F 0.810 0.638 0.444
F 0.690 0.862 0.944
F 0.690 0.138 0.556
F 0.417 0.050 0.164
F 0.417 0.950 0.336
F 0.083 0.550 0.836
F 0.083 0.450 0.664
F 0.583 0.950 0.836
F 0.583 0.050 0.664
F 0.917 0.450 0.164
F 0.917 0.550 0.336
F 0.281 0.790 0.117
F 0.281 0.210 0.383
F 0.219 0.290 0.883
F 0.219 0.710 0.617
F 0.719 0.210 0.883
F 0.719 0.790 0.617
F 0.781 0.710 0.117
F 0.781 0.290 0.383
F 0.997 0.914 0.067
F 0.997 0.086 0.433
F 0.503 0.414 0.933
F 0.503 0.586 0.567
F 0.003 0.086 0.933
F 0.003 0.914 0.567
F 0.497 0.586 0.067
F 0.497 0.414 0.433
F 0.870 0.924 0.200
F 0.870 0.076 0.300
F 0.630 0.424 0.800
F 0.630 0.576 0.700
F 0.130 0.076 0.800
F 0.130 0.924 0.700
F 0.370 0.576 0.200
F 0.370 0.424 0.300
F 0.004 0.226 0.127
F 0.004 0.774 0.373
F 0.496 0.726 0.873
F 0.496 0.274 0.627
F 0.996 0.774 0.873
F 0.996 0.226 0.627
F 0.504 0.274 0.127
F 0.504 0.726 0.373
F 0.725 0.122 0.151
F 0.725 0.878 0.349
F 0.775 0.622 0.849
F 0.775 0.378 0.651
F 0.275 0.878 0.849
F 0.275 0.122 0.651
F 0.225 0.378 0.151
F 0.225 0.622 0.349
F 0.920 0.731 0.988
F 0.920 0.269 0.512
F 0.580 0.231 0.012
F 0.580 0.769 0.488
F 0.080 0.269 0.012
F 0.080 0.731 0.488
F 0.420 0.769 0.988
F 0.420 0.231 0.512

Values from the calculation:
M_tot: 0.012 μB/cell
space-group type: No. 60

---

[11]
The following is a DFT calculation (PBE-GGA) of a relaxed structure of MgAu2F12.

a = 5.963 Å, b = 5.963 Å, c = 7.036 Å
α = 90.00°, β = 90.00°, γ = 90.00°
Positions (direct):
Mg 0.000 0.000 0.000
Au 0.000 0.500 0.216
Au 0.500 0.000 0.784
F 0.242 0.204 0.801
F 0.758 0.796 0.801
F 0.204 0.758 0.199
F 0.796 0.242 0.199
F 0.000 0.500 0.491
F 0.500 0.000 0.509
F 0.000 0.500 0.940
F 0.500 0.000 0.060
F 0.204 0.242 0.199
F 0.796 0.758 0.199
F 0.242 0.796 0.801
F 0.758 0.204 0.801

Values from the calculation:
M_tot: 0.000 μB/cell
space-group type: No. 115

---

Uncorrected energy across the listed records, respectively: -3.774; -4.226; -4.386; -5.041; -3.808; -5.041; -4.288; -3.501; -3.881; -4.397; -3.327 eV per atom.